No. 1
DFT (PBE with a Hubbard U) results for crystalline Mg14TiCrO16 at its relaxed geometry.

Cell lengths 8.647, 8.535, 4.248 Å; angles 90.00, 90.00, 90.00 degrees
Fractional coordinates of all 32 atoms:
Mg 0.500 0.000 0.000
O 0.500 0.000 0.500
O 0.249 0.750 0.500
O 0.744 0.000 0.000
Mg 0.254 0.500 0.500
Mg 0.747 0.748 0.000
O 0.000 0.251 0.000
Mg 0.253 0.252 0.000
Mg 0.500 0.749 0.500
O 0.265 0.500 0.000
Mg 0.746 0.500 0.500
O 0.000 0.500 0.500
O 0.000 0.749 0.000
Cr 0.000 0.500 0.000
Mg 0.253 0.000 0.500
Mg 0.500 0.251 0.500
Mg 0.747 0.000 0.500
O 0.500 0.752 0.000
Mg 0.253 0.748 0.000
Ti 0.000 0.000 0.000
Mg 0.747 0.252 0.000
O 0.751 0.250 0.500
Mg 0.500 0.500 0.000
O 0.500 0.500 0.500
O 0.751 0.750 0.500
O 0.000 0.000 0.500
O 0.249 0.250 0.500
O 0.256 0.000 0.000
Mg 0.000 0.253 0.500
O 0.500 0.248 0.000
O 0.735 0.500 0.000
Mg 0.000 0.747 0.500

As for the space group: Pmmm (47). The formation energy comes out at -280 kJ/mol of atoms. The calculation puts the total magnetization at 6.00 μB per formula unit. Its volume is 9.8 A^3/atom.


No. 2
DFT (PBE with a Hubbard U) results for crystalline LiMnAlO4 at its relaxed geometry.

Cell lengths 5.748, 5.748, 8.052 Å; angles 90.00, 90.00, 90.00 degrees
Fractional coordinates of all 28 atoms:
Li 0.000 0.228 0.000
O 0.993 0.268 0.740
O 0.732 0.007 0.010
O 0.512 0.264 0.760
Li 0.000 0.772 0.500
O 0.268 0.993 0.510
Al 0.256 0.744 0.875
Mn 0.234 0.500 0.250
Mn 0.500 0.766 0.500
Li 0.772 0.000 0.750
O 0.488 0.736 0.260
Li 0.228 0.000 0.250
O 0.736 0.512 0.510
O 0.268 0.007 0.990
O 0.512 0.736 0.740
O 0.736 0.488 0.990
O 0.732 0.993 0.490
Al 0.744 0.256 0.375
Al 0.744 0.744 0.125
O 0.264 0.512 0.490
O 0.007 0.732 0.240
O 0.488 0.264 0.240
O 0.264 0.488 0.010
Mn 0.500 0.234 0.000
Al 0.256 0.256 0.625
Mn 0.766 0.500 0.750
O 0.007 0.268 0.260
O 0.993 0.732 0.760

As for the space group: P4_322 (95). The maximum piezoelectric response comes out at 0.025 C/m². The formation energy comes out at -242 kJ/mol of atoms. As for the polymorph energy (0 for the lowest one): 28 meV per atom. The calculation puts the total magnetization at 3.00 μB per formula unit. Its volume is 9.5 A^3/atom.


No. 3
DFT (PBE with a Hubbard U) results for crystalline Li5VSi2O8 at its relaxed geometry.

Cell lengths 5.281, 5.281, 6.316 Å; angles 89.58, 89.58, 91.42 degrees
Fractional coordinates of all 16 atoms:
V 0.322 0.678 0.000
O 0.798 0.136 0.750
O 0.690 0.699 0.966
Li 0.171 0.195 0.736
O 0.697 0.696 0.537
Li 0.328 0.672 0.500
Si 0.169 0.182 0.256
O 0.220 0.866 0.242
Li 0.681 0.319 0.500
O 0.864 0.202 0.250
O 0.301 0.310 0.034
O 0.134 0.780 0.758
Si 0.818 0.831 0.744
O 0.304 0.303 0.463
Li 0.805 0.829 0.264
Li 0.698 0.302 0.000

As for the space group: C2 (5). The formation energy comes out at -264 kJ/mol of atoms. The calculation puts the total magnetization at 2.00 μB per formula unit. Its volume is 11.0 A^3/atom.


No. 4
DFT (PBE with a Hubbard U) results for crystalline Sr2YCrO6 at its relaxed geometry.

Cell lengths 5.800, 5.800, 5.800 Å; angles 60.00, 60.00, 60.00 degrees
Fractional coordinates of all 10 atoms:
Sr 0.250 0.250 0.250
O 0.231 0.231 0.769
O 0.769 0.231 0.231
Sr 0.750 0.750 0.750
O 0.231 0.769 0.231
O 0.231 0.769 0.769
Cr 0.000 0.000 0.000
O 0.769 0.231 0.769
Y 0.500 0.500 0.500
O 0.769 0.769 0.231

As for the space group: Fm-3m (225). The formation energy comes out at -276 kJ/mol of atoms. The calculation puts the total magnetization at 1.00 μB per formula unit. Its volume is 13.8 A^3/atom.


No. 5
DFT (PBE with a Hubbard U) results for crystalline LiFe4B4O12 at its relaxed geometry.

Cell lengths 5.298, 8.993, 11.347 Å; angles 113.27, 102.87, 89.60 degrees
Fractional coordinates of all 42 atoms:
B 0.854 0.518 0.376
O 0.466 0.158 0.381
O 0.218 0.220 0.842
O 0.875 0.143 0.924
O 0.018 0.351 0.624
Fe 0.651 0.654 0.626
O 0.374 0.475 0.583
B 0.356 0.016 0.375
Fe 0.905 0.231 0.132
O 0.689 0.459 0.849
O 0.860 0.970 0.571
B 0.394 0.395 0.128
O 0.953 0.649 0.369
O 0.285 0.290 0.174
Fe 0.401 0.729 0.130
O 0.616 0.346 0.078
Fe 0.590 0.275 0.878
Li 0.602 0.946 0.907
Fe 0.154 0.148 0.625
O 0.693 0.715 0.829
O 0.634 0.520 0.427
B 0.114 0.112 0.882
O 0.026 0.632 0.663
O 0.967 0.368 0.331
O 0.472 0.871 0.331
O 0.293 0.533 0.134
O 0.396 0.654 0.937
O 0.238 0.981 0.885
B 0.655 0.985 0.630
Li 0.682 0.335 0.657
O 0.122 0.853 0.089
B 0.894 0.894 0.128
O 0.131 0.017 0.417
O 0.779 0.798 0.176
B 0.135 0.484 0.624
Fe 0.351 0.352 0.377
B 0.593 0.607 0.874
O 0.544 0.859 0.644
Fe 0.853 0.854 0.379
O 0.560 0.140 0.679
Fe 0.097 0.775 0.878
O 0.776 0.024 0.110

As for the space group: P1 (1). The formation energy comes out at -215 kJ/mol of atoms. As for the polymorph energy (0 for the lowest one): 10 meV per atom. The calculation puts the total magnetization at 19.00 μB per formula unit. Its volume is 11.5 A^3/atom.


No. 6
DFT (PBE with a Hubbard U) results for crystalline Li7Fe8B8O24 at its relaxed geometry.

Cell lengths 5.221, 5.232, 20.577 Å; angles 91.32, 89.57, 119.81 degrees
Fractional coordinates of all 47 atoms:
O 0.939 0.235 0.321
B 0.664 0.995 0.812
O 0.323 0.071 0.540
Fe 0.684 0.679 0.685
O 0.330 0.255 0.208
Li 0.988 0.655 0.045
Li 0.022 0.345 0.667
Fe 0.310 0.994 0.433
O 0.628 0.727 0.290
O 0.080 0.349 0.568
O 0.324 0.069 0.042
Fe 0.336 0.327 0.307
B 0.659 0.662 0.937
O 0.606 0.023 0.667
Fe 0.327 0.327 0.809
O 0.669 0.929 0.451
O 0.911 0.638 0.944
O 0.416 0.017 0.329
Li 0.974 0.324 0.415
B 0.662 0.993 0.312
B 0.343 0.000 0.187
O 0.612 0.029 0.169
Li 0.024 0.348 0.168
Fe 0.688 0.680 0.186
O 0.394 0.417 0.917
O 0.090 0.729 0.693
B 0.342 0.004 0.687
O 0.392 0.973 0.827
O 0.605 0.579 0.078
O 0.090 0.734 0.184
Li 0.014 0.667 0.792
B 0.336 0.331 0.561
O 0.907 0.637 0.444
Fe 0.314 0.995 0.935
Fe 0.673 0.996 0.559
Fe 0.673 0.998 0.059
O 0.079 0.345 0.069
O 0.679 0.747 0.792
O 0.674 0.930 0.951
O 0.394 0.422 0.413
O 0.327 0.258 0.701
B 0.336 0.330 0.062
O 0.918 0.268 0.818
O 0.607 0.580 0.577
Li 0.988 0.655 0.543
B 0.659 0.664 0.435
Li 0.976 0.321 0.917

As for the space group: P1 (1). The formation energy comes out at -224 kJ/mol of atoms. As for the polymorph energy (0 for the lowest one): 0 meV per atom. The calculation puts the total magnetization at 33.00 μB per formula unit. Its volume is 10.4 A^3/atom.